Record 1
First-principles (PBE) data for crystalline Na14Sc4Al4Si7S5O48 at its relaxed geometry, as listed in Materials Project.

Cell: 17.9334 8.9450 22.0635 Å, 89.92 90.14 120.02°
Sites, in units of the cell vectors:
Al: 0.9983 0.9968 0.3501
Al: 0.3326 0.3220 0.4798
Al: 0.4990 0.0041 0.8517
Al: 0.8319 0.3342 0.9831
Al: 0.1817 0.6791 0.8171
Al: 0.8318 0.3211 0.4767
Al: 0.3314 0.3423 0.9771
Al: 0.3342 0.3248 0.6906
Al: 0.6843 0.6851 0.3159
Al: 0.5031 0.0070 0.3501
Al: 0.0036 0.0002 0.8506
Al: 0.8326 0.3334 0.1857
O: 0.1038 0.1793 0.0820
O: 0.7533 0.6121 0.8638
O: 0.0732 0.4633 0.2591
O: 0.4247 0.3072 0.2508
O: 0.1852 0.4939 0.0754
O: 0.7509 0.8724 0.3606
O: 0.2480 0.3273 0.7405
O: 0.2526 0.6293 0.8585
O: 0.1568 0.4931 0.7603
O: 0.6036 0.1773 0.0874
O: 0.2573 0.6334 0.5832
O: 0.5908 0.9557 0.1914
O: 0.3367 0.1450 0.0235
O: 0.1431 0.8448 0.9756
O: 0.7548 0.6759 0.2588
O: 0.3872 0.9561 0.6899
O: 0.9151 0.7968 0.3109
O: 0.2537 0.8300 0.7587
O: 0.8946 0.9763 0.6868
O: 0.8370 0.5297 0.5236
O: 0.6553 0.8168 0.2630
O: 0.9162 0.3205 0.5228
O: 0.7313 0.3125 0.0292
O: 0.5899 0.2056 0.6877
O: 0.3243 0.1331 0.1341
O: 0.4829 0.7854 0.8049
O: 0.4161 0.9879 0.4082
O: 0.7384 0.3067 0.7481
O: 0.5790 0.9957 0.9073
O: 0.0118 0.2094 0.1988
O: 0.4270 0.3424 0.9245
O: 0.9882 0.1641 0.5790
O: 0.7505 0.8625 0.0829
O: 0.0835 0.9940 0.9052
O: 0.9138 0.9859 0.4059
O: 0.9190 0.5140 0.0238
O: 0.7402 0.3510 0.1405
O: 0.4161 0.0312 0.8089
O: 0.1840 0.8649 0.8589
O: 0.9869 0.1816 0.3082
O: 0.7553 0.3540 0.4244
O: 0.9266 0.5047 0.1471
O: 0.2329 0.3118 0.0251
O: 0.9349 0.3520 0.6441
O: 0.7576 0.6433 0.5793
O: 0.4133 0.7854 0.5843
O: 0.1044 0.1686 0.8066
O: 0.2385 0.1704 0.2489
O: 0.2574 0.8717 0.0789
O: 0.0754 0.6387 0.0832
O: 0.2813 0.8513 0.4817
O: 0.4943 0.1907 0.3098
O: 0.0896 0.9801 0.1877
O: 0.0652 0.4851 0.8575
O: 0.9220 0.0370 0.0837
O: 0.1876 0.8799 0.5815
O: 0.6421 0.8473 0.9741
O: 0.2551 0.3433 0.4292
O: 0.7521 0.1670 0.9247
O: 0.0929 0.0236 0.3095
O: 0.7311 0.1532 0.5256
O: 0.8384 0.1617 0.0202
O: 0.5558 0.6328 0.3611
O: 0.1429 0.8150 0.2562
O: 0.5828 0.1729 0.4064
O: 0.0504 0.6276 0.3626
O: 0.4136 0.8421 0.9053
O: 0.9180 0.3000 0.2493
O: 0.2405 0.3529 0.1357
O: 0.8245 0.5158 0.6342
O: 0.0142 0.2002 0.9068
O: 0.3373 0.5232 0.5276
O: 0.0070 0.8200 0.4134
O: 0.2562 0.6734 0.2522
O: 0.5922 0.1623 0.8082
O: 0.0797 0.6900 0.7577
O: 0.0811 0.1644 0.4090
O: 0.3505 0.5234 0.2530
O: 0.9355 0.3538 0.9157
O: 0.0754 0.4530 0.9661
O: 0.7451 0.1691 0.2454
O: 0.5700 0.6779 0.7556
O: 0.9214 0.0206 0.8069
O: 0.2334 0.1542 0.5294
O: 0.6831 0.8745 0.5761
O: 0.0779 0.5097 0.5794
O: 0.7566 0.8382 0.7526
O: 0.4164 0.3261 0.5252
O: 0.7765 0.8456 0.4781
O: 0.6442 0.4736 0.7556
O: 0.5063 0.1924 0.9125
O: 0.6007 0.0242 0.5820
O: 0.4243 0.3476 0.6467
O: 0.8270 0.1592 0.4222
O: 0.1048 0.0276 0.5868
O: 0.9141 0.7921 0.5815
O: 0.2420 0.1372 0.6402
O: 0.7808 0.7102 0.9782
O: 0.0929 0.2261 0.6881
O: 0.6429 0.4386 0.4772
O: 0.6003 0.0304 0.3096
O: 0.3334 0.1660 0.4257
O: 0.5107 0.8244 0.4106
O: 0.0719 0.6910 0.4701
O: 0.4146 0.5316 0.7449
O: 0.2759 0.7075 0.9765
O: 0.9860 0.8039 0.0837
O: 0.5727 0.6933 0.4691
O: 0.5742 0.5078 0.5835
O: 0.3263 0.5103 0.6389
O: 0.4825 0.1629 0.5833
O: 0.3956 0.8150 0.1879
O: 0.6830 0.8839 0.8575
O: 0.5798 0.4687 0.2590
O: 0.5503 0.4710 0.8611
O: 0.4324 0.5179 0.1441
O: 0.8336 0.4967 0.9275
O: 0.6835 0.4915 0.0803
O: 0.4140 0.0372 0.0814
O: 0.1451 0.4400 0.4766
O: 0.8219 0.1487 0.1444
O: 0.8887 0.8210 0.1917
O: 0.0159 0.8206 0.6986
O: 0.5745 0.6415 0.0790
O: 0.5156 0.2098 0.1999
O: 0.8415 0.5056 0.2451
O: 0.4294 0.5151 0.4228
O: 0.8499 0.1762 0.7523
O: 0.4143 0.5131 0.0226
O: 0.9247 0.5421 0.7504
O: 0.3412 0.1737 0.7465
O: 0.3269 0.4943 0.9215
O: 0.5086 0.8112 0.6956
O: 0.9167 0.8433 0.9072
O: 0.7375 0.1270 0.6361
O: 0.2502 0.8831 0.3667
O: 0.4875 0.8128 0.0794
O: 0.1882 0.4859 0.3599
O: 0.4177 0.8190 0.3092
O: 0.9959 0.7997 0.8086
O: 0.9266 0.5111 0.4251
O: 0.6831 0.5041 0.3605
O: 0.2554 0.1570 0.9240
O: 0.5729 0.4529 0.9691
Sc: 0.6727 0.6934 0.0192
Sc: 0.6808 0.6723 0.8167
Sc: 0.6640 0.6535 0.5161
Sc: 0.9995 0.0181 0.6486
Sc: 0.9906 0.9821 0.1449
Sc: 0.1793 0.6861 0.3147
Sc: 0.5010 0.9805 0.1484
Sc: 0.4944 0.0110 0.6482
Sc: 0.8367 0.3332 0.6921
Sc: 0.3360 0.3387 0.1916
Sc: 0.1668 0.6545 0.5150
Sc: 0.1629 0.6728 0.0162
S: 0.0032 0.7150 0.7534
S: 0.6880 0.0444 0.5802
S: 0.6904 0.3345 0.0843
S: 0.9977 0.2872 0.2528
S: 0.5179 0.6660 0.4150
S: 0.0221 0.3741 0.9112
S: 0.1921 0.0494 0.5846
S: 0.4956 0.7052 0.7500
S: 0.0149 0.6628 0.4174
S: 0.3355 0.6117 0.5835
S: 0.5158 0.3677 0.9172
S: 0.3353 0.0517 0.0794
S: 0.8355 0.6194 0.5796
S: 0.5031 0.2912 0.2541
S: 0.1899 0.3336 0.0799
Si: 0.1664 0.9660 0.9147
Si: 0.3176 0.6699 0.9162
Si: 0.4779 0.6145 0.0805
Si: 0.3216 0.9715 0.4203
Si: 0.8174 0.9646 0.4168
Si: 0.3560 0.7136 0.2519
Si: 0.8522 0.7007 0.2522
Si: 0.8227 0.6677 0.9194
Si: 0.9751 0.6056 0.0847
Si: 0.4742 0.3442 0.5850
Si: 0.9788 0.3429 0.5808
Si: 0.1418 0.9972 0.2506
Si: 0.1669 0.3559 0.4170
Si: 0.6666 0.3669 0.4155
Si: 0.1504 0.3035 0.7505
Si: 0.3510 0.9988 0.7523
Si: 0.6435 0.2908 0.7515
Si: 0.6652 0.9759 0.9152
Si: 0.6493 0.9949 0.2534
Si: 0.8377 0.0636 0.0828
Si: 0.8560 0.9973 0.7518
Na: 0.6501 0.9575 0.0864
Na: 0.3421 0.6674 0.4066
Na: 0.1858 0.3664 0.2592
Na: 0.8424 0.6701 0.4091
Na: 0.3373 0.7001 0.0812
Na: 0.8373 0.9751 0.5812
Na: 0.6873 0.0065 0.7629
Na: 0.1706 0.0297 0.4022
Na: 0.6737 0.3141 0.9090
Na: 0.6644 0.6749 0.1648
Na: 0.3267 0.3266 0.8348
Na: 0.8234 0.3358 0.8367
Na: 0.9975 0.0062 0.4949
Na: 0.3244 0.3117 0.3326
Na: 0.5039 0.6515 0.2441
Na: 0.1375 0.9450 0.0876
Na: 0.4992 0.0096 0.4949
Na: 0.6700 0.0356 0.4040
Na: 0.1653 0.6801 0.1708
Na: 0.6870 0.3646 0.2551
Na: 0.3422 0.0143 0.9139
Na: 0.8411 0.0189 0.9216
Na: 0.9870 0.2920 0.4213
Na: 0.4896 0.6830 0.9263
Na: 0.3134 0.6387 0.7525
Na: 0.5015 0.9921 0.9965
Na: 0.1558 0.6524 0.6707
Na: 0.1840 0.0062 0.7610
Na: 0.8128 0.9899 0.2385
Na: 0.3365 0.9704 0.5791
Na: 0.9961 0.6429 0.2390
Na: 0.1692 0.3026 0.9081
Na: 0.6399 0.3333 0.5858
Na: 0.4974 0.3507 0.7469
Na: 0.0027 0.3532 0.7490
Na: 0.4883 0.2979 0.4211
Na: 0.9865 0.6772 0.9285
Na: 0.9902 0.9899 0.0005
Na: 0.6677 0.6530 0.6724
Na: 0.1417 0.3331 0.5839
Na: 0.8267 0.3262 0.3300
Na: 0.8368 0.7174 0.0786

Results
Uncorrected energy ... -6.686 eV/atom
SG ... P1 (1)
Magnetic moment ... 0.000 μB per atom

Record 2
First-principles (PBE) data for crystalline Na2Al4SiS5O24 at its relaxed geometry, as listed in Materials Project.

Cell: 8.3566 8.3437 21.7934 Å, 89.55 90.25 119.79°
Sites, in units of the cell vectors:
O: 0.8395 0.5348 0.0272
O: 0.8285 0.0431 0.8134
O: 0.4613 0.3020 0.0272
O: 0.1392 0.6397 0.0754
O: 0.1619 0.6868 0.7603
O: 0.8409 0.3151 0.2408
O: 0.1278 0.6346 0.3616
O: 0.7869 0.8288 0.1935
O: 0.0285 0.2056 0.1932
O: 0.3606 0.5035 0.0743
O: 0.5257 0.6843 0.2575
O: 0.1994 0.0376 0.3096
O: 0.6440 0.1435 0.4237
O: 0.5092 0.8218 0.7584
O: 0.3114 0.8160 0.2581
O: 0.7050 0.5337 0.2407
O: 0.1347 0.5057 0.5731
O: 0.6387 0.4963 0.9263
O: 0.5416 0.8425 0.4712
O: 0.0209 0.8284 0.4106
O: 0.4589 0.1553 0.5258
O: 0.9668 0.8036 0.0877
O: 0.8762 0.3656 0.6375
O: 0.3645 0.8722 0.8635
O: 0.1983 0.0368 0.5913
O: 0.1592 0.4646 0.9737
O: 0.8388 0.2928 0.5264
O: 0.1669 0.9597 0.1881
O: 0.6878 0.1874 0.7408
O: 0.5044 0.6299 0.8637
O: 0.4996 0.1407 0.9259
O: 0.8082 0.8275 0.9122
O: 0.1671 0.9767 0.9106
O: 0.1606 0.1962 0.4104
O: 0.0322 0.1962 0.9133
O: 0.3629 0.4945 0.3598
O: 0.1915 0.1720 0.0885
O: 0.8611 0.4939 0.4220
O: 0.8343 0.5329 0.7453
O: 0.8248 0.7946 0.3053
O: 0.4946 0.3698 0.1369
O: 0.4921 0.1810 0.2420
O: 0.8037 0.9680 0.6922
O: 0.3010 0.8426 0.9741
O: 0.4930 0.1180 0.6376
O: 0.4707 0.3097 0.7461
O: 0.3499 0.8577 0.5739
O: 0.2088 0.1716 0.8077
O: 0.4943 0.3543 0.4213
O: 0.1750 0.2040 0.6953
O: 0.4855 0.6420 0.5763
O: 0.9578 0.1695 0.3050
O: 0.5122 0.8766 0.3607
O: 0.1611 0.6971 0.4717
O: 0.8537 0.8209 0.5877
O: 0.6315 0.4923 0.6441
O: 0.5392 0.6975 0.9737
O: 0.9875 0.1768 0.5891
O: 0.3010 0.4637 0.4703
O: 0.6998 0.1584 0.0269
O: 0.1289 0.4954 0.8628
O: 0.9734 0.7955 0.8081
O: 0.1697 0.4665 0.2577
O: 0.8098 0.9753 0.4080
O: 0.8339 0.0241 0.0904
O: 0.8607 0.3608 0.9254
O: 0.0443 0.8312 0.6964
O: 0.8707 0.5048 0.1380
O: 0.6360 0.1273 0.1373
O: 0.7026 0.5355 0.5216
O: 0.2937 0.4657 0.7596
O: 0.5011 0.8591 0.0749
S: 0.9524 0.6196 0.0830
S: 0.3784 0.3349 0.0824
S: 0.6248 0.9577 0.4166
S: 0.6221 0.6657 0.9176
S: 0.3317 0.3798 0.4160
S: 0.0002 0.7128 0.7507
S: 0.7128 0.7129 0.2502
S: 0.6679 0.0445 0.0831
S: 0.0469 0.3793 0.9172
S: 0.2854 0.2850 0.7500
S: 0.0011 0.2876 0.2500
S: 0.3317 0.9557 0.9171
S: 0.0442 0.6632 0.4175
S: 0.9560 0.3351 0.5826
S: 0.3767 0.0454 0.5830
Na: 0.6551 0.3241 0.3335
Na: 0.3310 0.6760 0.1714
Na: 0.6686 0.3241 0.8265
Na: 0.9999 0.9998 0.9987
Na: 0.3541 0.6738 0.6653
Na: 0.9915 0.9889 0.5042
Al: 0.3329 0.6669 0.0180
Al: 0.6598 0.3274 0.1905
Al: 0.6688 0.3413 0.4852
Al: 0.0131 0.0037 0.3534
Al: 0.6673 0.3328 0.9798
Al: 0.3414 0.6657 0.5239
Al: 0.0052 0.9966 0.1522
Al: 0.3397 0.6708 0.8073
Al: 0.9934 0.0034 0.8447
Al: 0.3328 0.6763 0.3145
Al: 0.9753 0.9841 0.6447
Al: 0.6631 0.3303 0.6850
Si: 0.2893 0.9980 0.2504
Si: 0.6681 0.6200 0.5840
Si: 0.7103 0.0068 0.7496

Results
Uncorrected energy ... -6.496 eV/atom
SG ... P1 (1)
Magnetic moment ... 0.000 μB per atom